Entry 1:
# BaCr2AsO10 | Materials Project | PBE with a Hubbard U | relaxed
data_BaCr2AsO10
_space_group_name_H-M_alt 'P -1'
_space_group_IT_number 2
_cell_length_a 7.6163
_cell_length_b 8.1589
_cell_length_c 8.2279
_cell_angle_alpha 117.87
_cell_angle_beta 91.03
_cell_angle_gamma 100.91
loop_
_space_group_symop_operation_xyz
'x,y,z'
'-x,-y,-z'
loop_
_atom_site_label
_atom_site_fract_x
_atom_site_fract_y
_atom_site_fract_z
_atom_site_occupancy
Ba1 0.2481 0.3606 0.2816 1
Cr1 0.0911 0.7834 0.1923 1
Cr2 0.2825 0.8832 0.7405 1
As1 0.3334 0.2699 0.7258 1
O1 0.0290 0.6774 0.9697 1
O2 0.0983 0.2456 0.6871 1
O3 0.1394 0.6862 0.5930 1
O4 0.1753 0.0095 0.2657 1
O5 0.1821 0.0093 0.9147 1
O6 0.2439 0.6914 0.2380 1
O7 0.3562 0.0325 0.6334 1
O8 0.3935 0.3779 0.9626 1
O9 0.4275 0.3753 0.6064 1
O10 0.4531 0.8293 0.8101 1
# calculated formation energy: -1.825 eV per atom



Entry 2:
# Ba2MnAs2O8 | Materials Project | PBE with a Hubbard U | relaxed
data_Ba2MnAs2O8
_space_group_name_H-M_alt 'P 1 21/c 1'
_space_group_IT_number 14
_cell_length_a 5.6094
_cell_length_b 9.3407
_cell_length_c 17.7715
_cell_angle_alpha 90.00
_cell_angle_beta 107.96
_cell_angle_gamma 90.00
loop_
_space_group_symop_operation_xyz
'x,y,z'
'-x,-y,-z'
'-x,y+1/2,-z+1/2'
'x,-y+1/2,z+1/2'
loop_
_atom_site_label
_atom_site_fract_x
_atom_site_fract_y
_atom_site_fract_z
_atom_site_occupancy
Ba1 0.0238 0.1634 0.2688 1
Ba2 0.1897 0.6978 0.9794 1
Mn1 0.4057 0.0202 0.1366 1
As1 0.1783 0.0955 0.9243 1
As2 0.4155 0.1042 0.6639 1
O1 0.1242 0.6444 0.6301 1
O2 0.2026 0.1070 0.0222 1
O3 0.2333 0.0309 0.5761 1
O4 0.2449 0.5705 0.3917 1
O5 0.2725 0.6084 0.8322 1
O6 0.2985 0.2270 0.1726 1
O7 0.3768 0.0056 0.7417 1
O8 0.3825 0.2117 0.9005 1
# calculated formation energy: -2.459 eV per atom



Entry 3:
# BaVAs2O8 | Materials Project | PBE with a Hubbard U | relaxed
data_BaVAs2O8
_space_group_name_H-M_alt 'P 1 21/c 1'
_space_group_IT_number 14
_cell_length_a 7.7622
_cell_length_b 14.8980
_cell_length_c 6.9067
_cell_angle_alpha 90.00
_cell_angle_beta 115.09
_cell_angle_gamma 90.00
loop_
_space_group_symop_operation_xyz
'x,y,z'
'-x,-y,-z'
'-x,y+1/2,-z+1/2'
'x,-y+1/2,z+1/2'
loop_
_atom_site_label
_atom_site_fract_x
_atom_site_fract_y
_atom_site_fract_z
_atom_site_occupancy
Ba1 0.1755 0.1226 0.2085 1
V1 0.4770 0.6502 0.6963 1
As1 0.1682 0.6814 0.8970 1
As2 0.2791 0.5354 0.2759 1
O1 0.0433 0.1968 0.8096 1
O2 0.1143 0.6076 0.0729 1
O3 0.1493 0.5115 0.4131 1
O4 0.2382 0.7168 0.5224 1
O5 0.3469 0.0459 0.6463 1
O6 0.3563 0.6218 0.8872 1
O7 0.3710 0.2320 0.6927 1
O8 0.4788 0.5979 0.4293 1
# calculated formation energy: -2.251 eV per atom



Entry 4:
# BaVAsO6 | Materials Project | PBE with a Hubbard U | relaxed
data_BaVAsO6
_space_group_name_H-M_alt 'P 1 21/c 1'
_space_group_IT_number 14
_cell_length_a 5.9013
_cell_length_b 10.3548
_cell_length_c 9.0325
_cell_angle_alpha 90.00
_cell_angle_beta 90.38
_cell_angle_gamma 90.00
loop_
_space_group_symop_operation_xyz
'x,y,z'
'-x,-y,-z'
'-x,y+1/2,-z+1/2'
'x,-y+1/2,z+1/2'
loop_
_atom_site_label
_atom_site_fract_x
_atom_site_fract_y
_atom_site_fract_z
_atom_site_occupancy
Ba1 0.1382 0.1941 0.0862 1
V1 0.3540 0.5909 0.0859 1
As1 0.3456 0.6142 0.7185 1
O1 0.1112 0.5773 0.6190 1
O2 0.1113 0.6381 0.1624 1
O3 0.2768 0.6734 0.8937 1
O4 0.3190 0.0661 0.5249 1
O5 0.4756 0.2276 0.8598 1
O6 0.4847 0.0344 0.2331 1
# calculated formation energy: -2.456 eV per atom



Entry 5:
# BaVAs2O10 | Materials Project | PBE with a Hubbard U | relaxed
data_BaVAs2O10
_space_group_name_H-M_alt 'P 1 21/c 1'
_space_group_IT_number 14
_cell_length_a 11.4472
_cell_length_b 6.4576
_cell_length_c 14.2663
_cell_angle_alpha 90.00
_cell_angle_beta 128.12
_cell_angle_gamma 90.00
loop_
_space_group_symop_operation_xyz
'x,y,z'
'-x,-y,-z'
'-x,y+1/2,-z+1/2'
'x,-y+1/2,z+1/2'
loop_
_atom_site_label
_atom_site_fract_x
_atom_site_fract_y
_atom_site_fract_z
_atom_site_occupancy
Ba1 0.2221 0.1486 0.1705 1
V1 0.1876 0.0117 0.8721 1
As1 0.1389 0.5117 0.8966 1
As2 0.4742 0.6452 0.3570 1
O1 0.0537 0.0221 0.6961 1
O2 0.0585 0.0120 0.8903 1
O3 0.0881 0.7449 0.5444 1
O4 0.1967 0.1865 0.3525 1
O5 0.2055 0.0132 0.5399 1
O6 0.2073 0.7225 0.8678 1
O7 0.3471 0.0273 0.8341 1
O8 0.3497 0.0395 0.0340 1
O9 0.4532 0.5991 0.8764 1
O10 0.4815 0.6955 0.2421 1
# calculated formation energy: -1.762 eV per atom



Entry 6:
# FeCoBi2As2O12 | Materials Project | PBE with a Hubbard U | relaxed
data_FeCoBi2As2O12
_space_group_name_H-M_alt 'P -1'
_space_group_IT_number 2
_cell_length_a 6.1886
_cell_length_b 9.0996
_cell_length_c 9.2651
_cell_angle_alpha 71.35
_cell_angle_beta 82.36
_cell_angle_gamma 87.29
loop_
_space_group_symop_operation_xyz
'x,y,z'
'-x,-y,-z'
loop_
_atom_site_label
_atom_site_fract_x
_atom_site_fract_y
_atom_site_fract_z
_atom_site_occupancy
Fe1 0.0000 0.0000 0.0000 1
Fe2 0.0000 0.5000 0.0000 1
Co1 0.5000 0.0000 0.0000 1
Co2 0.5000 0.5000 0.0000 1
Bi1 0.3163 0.0930 0.6070 1
Bi2 0.3200 0.5924 0.6086 1
As1 0.2040 0.6590 0.2204 1
As2 0.2077 0.1575 0.2173 1
O1 0.0145 0.9320 0.8146 1
O2 0.0160 0.4300 0.8136 1
O3 0.1402 0.1737 0.3955 1
O4 0.1400 0.6785 0.3974 1
O5 0.2320 0.3408 0.0864 1
O6 0.2353 0.8414 0.0860 1
O7 0.2582 0.1120 0.9133 1
O8 0.2873 0.6131 0.9100 1
O9 0.3795 0.3669 0.5493 1
O10 0.3815 0.8672 0.5490 1
O11 0.4434 0.5587 0.1934 1
O12 0.4454 0.0551 0.1883 1
# calculated formation energy: -1.497 eV per atom